No. 1
Compound: Tl
Source: Materials Project
Functional: GGA-PBE
Structure: relaxed

a b c (Å): 8.5018 8.5018 8.5018
angles (deg): 24.80 24.80 24.80
Element x y z (fractional)
Tl 0.0000 0.0000 0.0000
Tl 0.2206 0.2206 0.2206
Tl 0.7794 0.7794 0.7794

Calculated values
SG ... No. 166

=====

No. 2
Compound: Tm5Tl3
Source: Materials Project
Functional: GGA-PBE
Structure: relaxed

a b c (Å): 8.8900 8.8900 6.6087
angles (deg): 90.00 90.00 120.00
Element x y z (fractional)
Tm 0.6667 0.3333 0.0000
Tm 0.3333 0.6667 0.0000
Tm 0.3333 0.6667 0.5000
Tm 0.6667 0.3333 0.5000
Tm 0.7647 0.7647 0.7500
Tm 0.2353 0.0000 0.7500
Tm 0.0000 0.2353 0.7500
Tm 0.2353 0.2353 0.2500
Tm 0.7647 0.0000 0.2500
Tm 0.0000 0.7647 0.2500
Tl 0.4031 0.4031 0.7500
Tl 0.5969 0.0000 0.7500
Tl 0.0000 0.5969 0.7500
Tl 0.5969 0.5969 0.2500
Tl 0.4031 0.0000 0.2500
Tl 0.0000 0.4031 0.2500

Calculated values
SG ... No. 193

=====

No. 3
Compound: Tm3Tl
Source: Materials Project
Functional: GGA-PBE
Structure: relaxed

a b c (Å): 6.7929 6.7929 5.5880
angles (deg): 90.00 90.00 120.00
Element x y z (fractional)
Tm 0.1681 0.3362 0.2500
Tm 0.6638 0.8319 0.2500
Tm 0.1681 0.8319 0.2500
Tm 0.8319 0.6638 0.7500
Tm 0.3362 0.1681 0.7500
Tm 0.8319 0.1681 0.7500
Tl 0.3333 0.6667 0.7500
Tl 0.6667 0.3333 0.2500

Calculated values
SG ... No. 194

=====

Total energy / eV/atom: -2.3626; -3.9708; -4.0972